Record 1
This record from the Materials Project database describes CaMn28 after structural relaxation. The functional is GGA-PBE.

Output
uncorrected energy: -256.50 eV/cell

The structure in POSCAR format:
```
CaMn28
1.0
-4.381 4.381 4.381
4.381 -4.381 4.381
4.381 4.381 -4.381
Ca Mn
1 28
Cartesian
0.000 0.000 0.000
-2.746 2.746 2.746
2.746 -2.746 2.746
2.746 2.746 -2.746
1.635 1.635 1.635
1.262 -1.262 4.681
-0.300 3.119 3.119
1.262 4.681 -1.262
-1.262 1.262 4.681
4.681 1.262 -1.262
3.119 -0.300 3.119
3.119 3.119 -0.300
4.681 -1.262 1.262
-1.262 4.681 1.262
1.262 1.262 4.081
4.081 1.262 1.262
1.262 4.081 1.262
-0.789 0.789 2.553
6.209 0.789 0.789
-0.789 2.553 0.789
0.789 -0.789 2.553
2.553 -0.789 0.789
0.789 6.209 0.789
0.789 0.789 6.209
2.553 0.789 -0.789
0.789 2.553 -0.789
3.592 3.592 1.828
1.828 3.592 3.592
3.592 1.828 3.592
```


Record 2
This record from the Materials Project database describes BaInCuF7 after structural relaxation. The functional is GGA-PBE.

Output
uncorrected energy: -96.86 eV/cell

The structure in POSCAR format:
```
BaInCuF7
1.0
-1.342 -6.355 2.166
0.912 2.046 6.470
-6.476 -0.552 4.469
Ba In Cu F
2 2 2 14
Cartesian
-1.573 -1.320 5.933
-5.332 -3.540 7.171
-3.238 -0.276 2.234
0.000 0.000 0.000
0.456 1.023 3.235
-3.909 -3.453 3.317
-5.146 -0.305 6.111
-2.489 -2.194 2.767
-1.759 -4.556 6.994
-4.415 -2.666 10.337
-4.161 0.825 9.407
-2.744 -5.685 3.697
-6.955 -4.141 9.272
0.050 -0.720 3.833
-3.211 -1.981 8.003
-2.580 1.139 6.779
-7.394 -5.012 6.004
0.489 0.151 7.100
-3.693 -2.880 5.102
-4.325 -6.000 6.325
```


Record 3
This record from the Materials Project database describes La3TiCl5O4 after structural relaxation. The functional is GGA-PBE.

Output
uncorrected energy: -357.89 eV/cell

The structure in POSCAR format:
```
La3TiCl5O4
1.0
-0.243 -1.113 -3.920
-8.935 -11.199 3.733
-13.481 10.080 -2.025
La Ti Cl O
12 4 20 16
Cartesian
-9.268 4.516 -3.896
-13.391 -6.748 1.683
-20.215 -2.227 -1.303
-13.926 5.812 -1.849
-5.553 -4.316 -1.619
-2.444 -0.005 -0.910
-10.515 -3.557 -1.527
-17.106 2.085 -0.594
-15.280 -2.762 -1.457
-7.378 0.530 -0.756
-12.144 1.325 -0.686
-8.733 -8.044 -0.364
-14.524 2.545 -3.010
-17.748 -3.337 0.985
-4.911 1.106 -3.198
-8.135 -4.776 0.797
-10.818 -8.313 1.967
-7.767 -2.301 -2.054
-12.630 -1.477 -1.986
-12.909 -3.468 0.722
-7.442 3.518 -1.600
-10.029 -0.754 -0.227
-5.731 -7.349 -0.747
-11.234 4.055 -1.517
-11.425 -6.287 -0.696
-4.942 -1.547 -0.317
-15.217 -5.749 -0.613
-16.928 5.117 -1.466
-13.312 8.620 -2.684
-17.717 -0.685 -1.896
-20.263 0.804 -0.035
-9.347 -10.852 0.471
-14.892 0.070 -0.159
-11.841 6.081 -4.180
-9.750 1.236 -2.935
-2.396 -3.036 -2.178
-19.214 -2.227 0.761
-6.417 -4.145 0.511
-16.242 1.913 -2.724
-3.444 -0.005 -2.974
-9.615 -3.684 0.579
-13.648 -8.325 0.021
-14.275 4.308 -3.526
-9.011 6.093 -2.233
-8.276 -5.357 -1.155
-17.850 -3.869 -0.984
-8.384 -6.540 1.313
-6.610 0.426 -2.900
-14.383 3.126 -1.058
-16.049 -2.658 0.687
-4.809 1.637 -1.229
-13.044 1.452 -2.792
```


Record 4
This record from the Materials Project database describes ScTl3F6 after structural relaxation. The functional is GGA-PBE.

Output
uncorrected energy: -51.13 eV/cell

The structure in POSCAR format:
```
ScTl3F6
1.0
-4.674 -4.674 0.000
-4.674 0.000 -4.674
0.000 -4.674 -4.674
Sc Tl F
1 3 6
Cartesian
0.000 0.000 0.000
-7.012 -7.012 -7.012
-2.337 -2.337 -2.337
-4.674 -4.674 -4.674
-7.316 -4.674 -4.674
-2.032 -4.674 -4.674
-4.674 -7.316 -4.674
-4.674 -2.032 -4.674
-4.674 -4.674 -7.316
-4.674 -4.674 -2.032
```


Record 5
This record from the Materials Project database describes NdCuSi after structural relaxation. The functional is GGA-PBE.

Output
uncorrected energy: -32.29 eV/cell

The structure in POSCAR format:
```
NdCuSi
1.0
-3.078 1.615 2.384
4.030 0.819 0.923
-0.238 6.414 -4.652
Nd Cu Si
2 2 2
Cartesian
-0.119 3.207 -2.326
0.000 0.000 0.000
1.482 5.894 -2.079
-0.768 2.953 0.734
-0.887 6.160 -1.592
1.601 2.688 0.247
```


Record 6
This record from the Materials Project database describes Pr2Al5Cu5 after structural relaxation. The functional is GGA-PBE.

Output
uncorrected energy: -52.81 eV/cell

The structure in POSCAR format:
```
Pr2Al5Cu5
1.0
0.000 0.000 -4.071
-2.644 -4.580 0.000
-8.320 4.804 0.000
Pr Al Cu
2 5 5
Cartesian
-2.644 -4.580 0.000
-5.482 0.112 0.000
-5.405 -2.986 0.000
-8.095 1.621 0.000
-2.869 -1.397 0.000
-8.203 -1.371 0.000
-1.322 -2.290 -2.036
-4.160 2.402 -2.036
-2.717 0.061 -2.036
-8.247 0.163 -2.036
-4.055 -2.257 -2.036
-6.909 2.481 -2.036
```


Record 7
This record from the Materials Project database describes MgCu2WS4 after structural relaxation. The functional is GGA-PBE.

Output
uncorrected energy: -42.17 eV/cell

The structure in POSCAR format:
```
MgCu2WS4
1.0
-4.035 1.314 -3.790
-3.818 -2.907 3.057
2.756 5.281 3.169
Mg Cu W S
1 2 1 4
Cartesian
-3.927 -0.796 -0.367
-2.018 0.657 -1.895
-1.909 -1.454 1.528
0.000 0.000 0.000
-6.271 -0.119 0.125
-2.154 0.716 0.509
-0.828 2.284 3.913
-0.942 4.497 0.324
```


Record 8
This record from the Materials Project database describes Tm6Co2Sn after structural relaxation. The functional is GGA-PBE.

Output
uncorrected energy: -96.72 eV/cell

The structure in POSCAR format:
```
Tm6Co2Sn
1.0
1.756 -3.860 7.076
-5.682 5.735 1.700
-2.765 -5.454 -5.538
Tm Co Sn
12 4 2
Cartesian
-1.137 -1.539 2.390
-5.554 -2.040 0.849
-3.473 -3.034 -3.802
-3.217 -0.545 7.040
-2.588 -1.650 -0.805
-4.102 -1.929 4.043
-6.233 -1.529 -2.461
-0.457 -2.050 5.700
-3.869 0.690 1.642
-2.822 -4.269 1.596
-1.424 -4.937 -1.529
-5.267 1.358 4.767
-0.358 -3.303 0.546
-0.651 -6.010 0.993
-4.674 0.356 -0.911
-2.016 -3.934 4.149
-1.963 0.937 4.388
0.000 0.000 0.000
```


Record 9
This record from the Materials Project database describes Na3InGe3P6O24 after structural relaxation. The functional is GGA-PBE.

Output
uncorrected energy: -739.11 eV/cell

The structure in POSCAR format:
```
Na3InGe3P6O24
1.0
8.559 -0.022 -0.003
-4.299 7.411 0.005
-0.008 0.011 21.914
Na In Ge P O
9 3 9 18 72
Cartesian
1.574 2.636 5.440
2.712 4.653 16.425
7.008 2.178 9.104
-4.258 7.350 10.985
8.559 -0.020 0.001
4.315 2.395 18.304
4.270 2.465 7.242
-0.066 5.010 3.577
-0.111 4.952 14.572
4.286 7.328 7.788
4.300 2.414 15.011
4.328 2.455 3.911
0.000 0.019 18.771
0.007 0.018 14.152
4.257 7.368 3.188
4.268 2.465 21.505
4.223 2.464 10.573
-0.013 4.931 0.361
-0.007 4.949 11.402
-0.030 4.985 6.850
-0.066 4.950 17.870
-1.802 7.345 5.462
2.973 5.264 5.466
-1.254 2.186 5.523
1.128 2.114 16.498
-3.020 5.381 16.494
1.839 7.381 16.516
6.816 2.457 12.735
3.005 0.260 12.746
2.990 4.658 12.777
5.558 4.661 1.742
5.549 0.239 1.746
1.717 2.474 1.772
2.451 4.923 20.075
-1.259 2.815 20.088
-1.251 7.085 20.088
1.114 7.063 9.193
1.288 2.889 9.171
-2.444 4.907 9.209
1.731 0.276 6.725
3.566 5.749 6.765
7.512 1.440 6.850
0.918 1.257 17.748
4.849 5.971 17.727
7.006 0.160 17.760
2.681 7.070 15.231
0.522 1.522 15.195
-3.239 6.204 15.193
3.213 6.154 4.208
-0.520 1.523 4.298
-2.700 7.109 4.206
6.055 2.795 13.994
3.654 0.732 14.026
3.086 3.888 14.090
5.496 3.887 3.033
4.893 0.683 3.028
2.412 2.778 3.087
2.675 2.186 0.575
4.834 3.994 0.529
5.336 1.199 0.532
3.209 1.200 11.516
3.708 3.986 11.568
5.927 2.181 11.472
1.560 5.203 21.281
-0.580 3.430 21.311
-1.057 6.187 21.308
0.898 6.201 10.424
0.596 3.535 10.371
-1.565 5.090 10.436
-1.597 4.604 7.926
0.509 6.464 7.894
1.064 3.684 7.846
-1.079 3.697 18.819
-0.572 6.489 18.822
1.621 4.660 18.777
-3.331 6.126 9.194
2.631 7.281 9.164
0.639 1.501 9.153
-0.603 1.410 19.952
-2.795 7.228 19.946
3.349 6.191 19.951
7.681 1.168 12.886
1.457 0.155 12.883
3.661 6.058 12.901
4.870 6.053 1.888
7.099 0.134 1.905
0.842 1.191 1.912
5.249 1.192 16.452
2.648 2.331 16.429
4.887 3.971 16.417
3.491 3.836 5.326
5.825 2.368 5.393
3.405 1.145 5.313
3.336 3.657 20.239
5.761 2.658 20.243
3.690 1.079 20.250
4.750 1.069 9.305
2.829 2.788 9.315
5.253 3.576 9.323
0.822 3.712 1.532
-1.480 4.843 1.518
0.645 6.247 1.514
-0.688 6.265 12.548
1.472 4.831 12.555
-0.811 3.697 12.544
-0.979 6.032 5.611
1.403 5.176 5.582
-0.499 3.571 5.612
0.468 3.537 16.617
-1.478 5.263 16.629
0.974 6.068 16.632
```


Question: The lowest uncorrected energy belongs to which entry?
Answer: Na3InGe3P6O24


Question: Which of these has the lowest uncorrected energy?
Answer: Na3InGe3P6O24